w | Ba2CaPd3O6 after structural relaxation, computed with GGA-PBE.

Cell: 9.576 8.822 7.312 Å, 72.13 61.26 46.61°
Element x y z (fractional)
Ba 0.750 0.750 0.750
Ba 0.250 0.250 0.250
Ba 0.233 0.767 0.233
Ba 0.767 0.233 0.767
Ca 0.671 0.671 0.329
Ca 0.329 0.329 0.671
Pd 0.690 0.006 0.310
Pd 0.994 0.310 0.006
Pd 0.006 0.690 0.994
Pd 0.310 0.994 0.690
Pd 0.325 0.675 0.675
Pd 0.675 0.325 0.325
O 0.328 0.469 0.906
O 0.297 0.906 0.469
O 0.906 0.297 0.328
O 0.469 0.328 0.297
O 0.672 0.531 0.094
O 0.703 0.094 0.531
O 0.687 0.922 0.078
O 0.531 0.672 0.703
O 0.922 0.687 0.313
O 0.078 0.313 0.687
O 0.313 0.078 0.922
O 0.094 0.703 0.672

Output
Theoretical density: 6.16 Mg/m³

---

x | Ba2CaPd3O6 after structural relaxation, computed with GGA-PBE.

Cell: 9.576 8.822 7.312 Å, 72.13 61.26 46.61°
Element x y z (fractional)
Ba 0.245 0.248 0.254
Ba 0.748 0.753 0.744
Ba 0.762 0.236 0.765
Ba 0.231 0.764 0.239
Ca 0.673 0.675 0.325
Ca 0.327 0.326 0.676
Pd 0.689 0.010 0.314
Pd 0.993 0.308 0.001
Pd 0.007 0.695 0.994
Pd 0.317 0.987 0.687
Pd 0.324 0.672 0.671
Pd 0.675 0.322 0.332
O 0.091 0.699 0.677
O 0.527 0.670 0.708
O 0.675 0.533 0.087
O 0.695 0.100 0.536
O 0.907 0.301 0.330
O 0.467 0.324 0.301
O 0.916 0.695 0.315
O 0.296 0.906 0.463
O 0.681 0.925 0.085
O 0.307 0.085 0.926
O 0.072 0.314 0.689
O 0.327 0.474 0.909

Output
Theoretical density: 6.16 Mg/m³

---

List of relative energies, unit kJ/mol of atoms: w 0.0; x 1.6

---

w | Ba4CaRh4O12 after structural relaxation, computed with GGA-PBE.

Cell: 5.821 5.821 10.522 Å, 90.00 90.00 120.00°
Element x y z (fractional)
Ba 0.667 0.333 0.731
Ba 0.333 0.667 0.282
Ba 0.000 0.000 0.487
Ba 0.000 0.000 0.101
Ca 0.000 0.000 0.830
Rh 0.333 0.667 0.883
Rh 0.667 0.333 0.384
Rh 0.667 0.333 0.111
Rh 0.333 0.667 0.607
O 0.184 0.368 0.732
O 0.815 0.185 0.255
O 0.371 0.185 0.255
O 0.632 0.816 0.732
O 0.184 0.816 0.732
O 0.815 0.629 0.255
O 0.497 0.994 0.491
O 0.512 0.488 0.969
O 0.512 0.025 0.969
O 0.497 0.503 0.491
O 0.006 0.503 0.491
O 0.975 0.488 0.969

Output
Theoretical density: 6.42 Mg/m³

---

x | Ba4CaRh4O12 after structural relaxation, computed with GGA-PBE.

Cell: 6.028 6.042 10.622 Å, 87.65 92.47 122.01°
Element x y z (fractional)
Ba 0.668 0.330 0.726
Ba 0.260 0.740 0.303
Ba 0.973 0.027 0.499
Ba 0.030 0.969 0.911
Ca 0.519 0.478 0.143
Rh 0.352 0.649 0.878
Rh 0.639 0.361 0.402
Rh 0.789 0.212 0.099
Rh 0.324 0.674 0.616
O 0.171 0.373 0.744
O 0.791 0.209 0.279
O 0.309 0.208 0.301
O 0.626 0.828 0.743
O 0.184 0.814 0.741
O 0.790 0.690 0.301
O 0.499 0.006 0.505
O 0.533 0.472 0.941
O 0.499 0.958 0.002
O 0.496 0.496 0.532
O 0.992 0.503 0.506
O 0.045 0.503 0.004

Output
Theoretical density: 6.05 Mg/m³

---

y | Ba4CaRh4O12 after structural relaxation, computed with GGA-PBE.

Cell: 5.963 5.778 10.470 Å, 90.00 99.82 118.98°
Element x y z (fractional)
Ba 0.762 0.381 0.735
Ba 0.286 0.643 0.238
Ba 0.055 0.028 0.472
Ba 0.890 0.945 0.082
Ca 0.171 0.086 0.840
Rh 0.379 0.690 0.869
Rh 0.687 0.343 0.393
Rh 0.576 0.288 0.120
Rh 0.426 0.713 0.599
O 0.271 0.406 0.710
O 0.762 0.151 0.256
O 0.329 0.164 0.268
O 0.719 0.859 0.791
O 0.271 0.865 0.710
O 0.762 0.611 0.256
O 0.630 0.063 0.521
O 0.370 0.435 0.004
O 0.370 0.935 0.004
O 0.630 0.567 0.521
O 0.108 0.554 0.455
O 0.857 0.429 0.018

Output
Theoretical density: 6.40 Mg/m³

---

List of relative energies, unit kJ/mol of atoms: w 7.6; x 5.4; y 0.0

---

w | BaCaSmSbO6 after structural relaxation, computed with GGA-PBE.

Cell: 5.947 5.999 8.467 Å, 90.43 89.49 89.91°
Element x y z (fractional)
Ba 0.995 0.027 0.250
Ba 0.005 0.973 0.750
Ca 0.507 0.539 0.254
Ca 0.493 0.461 0.746
Sm 0.500 0.000 0.000
Sm 0.000 0.500 0.500
Sb 0.000 0.500 0.000
Sb 0.500 0.000 0.500
O 0.199 0.234 0.964
O 0.315 0.721 0.552
O 0.801 0.766 0.036
O 0.685 0.279 0.448
O 0.271 0.692 0.941
O 0.231 0.199 0.525
O 0.729 0.308 0.059
O 0.769 0.801 0.475
O 0.442 0.943 0.268
O 0.103 0.504 0.231
O 0.558 0.057 0.732
O 0.897 0.496 0.769

Output
Theoretical density: 6.00 Mg/m³

---

x | BaCaSmSbO6 after structural relaxation, computed with GGA-PBE.

Cell: 6.032 6.032 6.032 Å, 60.00 60.00 60.00°
Element x y z (fractional)
Ba 0.750 0.750 0.750
Ca 0.250 0.250 0.250
Sm 0.500 0.500 0.500
Sb 0.000 0.000 0.000
O 0.766 0.234 0.234
O 0.234 0.766 0.766
O 0.766 0.234 0.766
O 0.234 0.766 0.234
O 0.766 0.766 0.234
O 0.234 0.234 0.766

Output
Theoretical density: 5.84 Mg/m³

---

List of relative energies, unit kJ/mol of atoms: w 0.0; x 6.8

---

w | Ba4CaZr5O15 after structural relaxation, computed with GGA-PBE.

Cell: 4.238 4.238 21.198 Å, 90.00 90.00 90.00°
Element x y z (fractional)
Ba 0.500 0.500 0.801
Ba 0.500 0.500 0.600
Ba 0.500 0.500 0.400
Ba 0.500 0.500 0.199
Ca 0.500 0.500 0.000
Zr 0.000 0.000 0.097
Zr 0.000 0.000 0.903
Zr 0.000 0.000 0.701
Zr 0.000 0.000 0.500
Zr 0.000 0.000 0.299
O 0.000 0.000 0.000
O 0.000 0.000 0.801
O 0.000 0.000 0.600
O 0.000 0.000 0.400
O 0.000 0.000 0.199
O 0.500 0.000 0.904
O 0.500 0.000 0.700
O 0.500 0.000 0.500
O 0.500 0.000 0.300
O 0.500 0.000 0.096
O 0.000 0.500 0.096
O 0.000 0.500 0.904
O 0.000 0.500 0.700
O 0.000 0.500 0.500
O 0.000 0.500 0.300

Output
Theoretical density: 5.61 Mg/m³

---

x | Ba4CaZr5O15 after structural relaxation, computed with GGA-PBE.

Cell: 15.263 15.263 4.234 Å, 90.00 90.00 157.37°
Element x y z (fractional)
Ba 0.900 0.100 0.500
Ba 0.300 0.700 0.500
Ba 0.700 0.300 0.500
Ba 0.100 0.900 0.500
Ca 0.500 0.500 0.500
Zr 0.200 0.800 0.000
Zr 0.599 0.401 0.000
Zr 0.000 0.000 0.000
Zr 0.401 0.599 0.000
Zr 0.800 0.200 0.000
O 0.900 0.600 0.000
O 0.302 0.203 0.000
O 0.698 0.797 0.000
O 0.100 0.400 0.000
O 0.500 0.000 0.000
O 0.400 0.100 0.000
O 0.797 0.698 0.000
O 0.203 0.302 0.000
O 0.600 0.900 0.000
O 0.000 0.500 0.000
O 0.200 0.800 0.500
O 0.599 0.401 0.500
O 0.000 0.000 0.500
O 0.401 0.599 0.500
O 0.800 0.200 0.500

Output
Theoretical density: 5.63 Mg/m³

---

List of relative energies, unit kJ/mol of atoms: w 0.0; x 0.5